VF5: optimized geometry, PBE+U.

DFT formation energy (eV/atom): -2.790
Crystal system: monoclinic

Lattice parameters (Å, degrees): 6.339 8.720 8.773 90.00 131.11 90.00
Element x y z (fractional)
V1 0.116 0.129 0.438
V2 0.116 0.371 0.938
V3 0.884 0.629 0.062
V4 0.884 0.871 0.562
F1 0.084 0.600 0.959
F2 0.084 0.900 0.459
F3 0.104 0.172 0.943
F4 0.104 0.328 0.443
F5 0.222 0.613 0.305
F6 0.222 0.887 0.805
F7 0.288 0.101 0.347
F8 0.288 0.399 0.847
F9 0.425 0.116 0.696
F10 0.425 0.384 0.196
F11 0.575 0.616 0.804
F12 0.575 0.884 0.304
F13 0.712 0.601 0.153
F14 0.712 0.899 0.653
F15 0.778 0.113 0.195
F16 0.778 0.387 0.695
F17 0.896 0.672 0.557
F18 0.896 0.828 0.057
F19 0.916 0.100 0.541
F20 0.916 0.400 0.041